# 1
! KB5H8O12, relaxed, DFT PBE; values from VASP
&SYSTEM
  ibrav = 0, nat = 52, ntyp = 4
/
ATOMIC_SPECIES
K 39.10 K.upf
B 10.81 B.upf
H 1.01 H.upf
O 16.00 O.upf
CELL_PARAMETERS angstrom
-3.4030 5.8645 -2.4552
-2.3063 -5.0780 -4.5711
-8.6266 -2.1730 6.7665
ATOMIC_POSITIONS crystal
K 0.4928 0.4928 0.5000
K 0.9928 0.9928 0.0000
B 0.8948 0.8948 0.5000
B 0.3948 0.3948 0.0000
B 0.8957 0.7046 0.6883
B 0.7046 0.8957 0.3117
B 0.3957 0.2046 0.8117
B 0.2046 0.3957 0.1883
B 0.9303 0.0411 0.7047
B 0.0411 0.9303 0.2953
B 0.4303 0.5411 0.7953
B 0.5411 0.4303 0.2047
H 0.5274 0.0088 0.4890
H 0.0088 0.5274 0.5110
H 0.0274 0.5088 0.0110
H 0.5088 0.0274 0.9890
H 0.3081 0.0134 0.4800
H 0.0134 0.3081 0.5200
H 0.8081 0.5134 0.0200
H 0.5134 0.8081 0.9800
H 0.3980 0.0496 0.6661
H 0.0496 0.3980 0.3339
H 0.8980 0.5496 0.8339
H 0.5496 0.8980 0.1661
H 0.9392 0.3142 0.7463
H 0.3142 0.9392 0.2537
H 0.4392 0.8142 0.7537
H 0.8142 0.4392 0.2463
O 0.8846 0.7127 0.5660
O 0.7127 0.8846 0.4340
O 0.3846 0.2127 0.9340
O 0.2127 0.3846 0.0660
O 0.9224 0.0582 0.5828
O 0.0582 0.9224 0.4172
O 0.4224 0.5582 0.9172
O 0.5582 0.4224 0.0828
O 0.9181 0.8660 0.7594
O 0.8660 0.9181 0.2406
O 0.4181 0.3660 0.7406
O 0.3660 0.4181 0.2594
O 0.8863 0.5337 0.7441
O 0.5337 0.8863 0.2559
O 0.3863 0.0337 0.7559
O 0.0337 0.3863 0.2441
O 0.9537 0.1917 0.7814
O 0.1917 0.9537 0.2186
O 0.4537 0.6917 0.7186
O 0.6917 0.4537 0.2814
O 0.4279 0.0718 0.5202
O 0.0718 0.4279 0.4798
O 0.9279 0.5718 0.9798
O 0.5718 0.9279 0.0202
! * energy of formation: -2.1273 eV/atom
! * total magnetization: 0.0 μB/cell
! * symmetry: No. 41

***

# 2
! Mg16Al12Pt, relaxed, DFT PBE; values from VASP
&SYSTEM
  ibrav = 0, nat = 29, ntyp = 3
/
ATOMIC_SPECIES
Mg 24.30 Mg.upf
Al 26.98 Al.upf
Pt 195.08 Pt.upf
CELL_PARAMETERS angstrom
7.5592 -4.3643 3.0860
-0.0771 8.5061 2.9602
-7.4051 -4.1863 2.9602
ATOMIC_POSITIONS crystal
Mg 0.5699 0.2596 0.0000
Mg 0.3177 0.5910 0.0000
Mg 0.0020 0.3529 0.0000
Mg 0.9870 0.0000 0.0000
Mg 0.5699 0.0000 0.2596
Mg 0.6814 0.6733 0.2733
Mg 0.0081 0.6000 0.3267
Mg 0.0020 0.0000 0.3529
Mg 0.4081 0.7267 0.4000
Mg 0.7267 0.4090 0.4090
Mg 0.3177 0.0000 0.5910
Mg 0.0081 0.3267 0.6000
Mg 0.6491 0.6471 0.6471
Mg 0.6814 0.2733 0.6733
Mg 0.4081 0.4000 0.7267
Mg 0.3103 0.7404 0.7404
Al 0.6524 0.8097 0.0000
Al 0.8131 0.6115 0.0000
Al 0.1832 0.8166 0.1798
Al 0.3666 0.3632 0.1834
Al 0.8427 0.1903 0.1903
Al 0.3666 0.1834 0.3632
Al 0.2017 0.3885 0.3885
Al 0.8131 0.0000 0.6115
Al 0.0034 0.8202 0.6368
Al 0.6523 0.0000 0.8097
Al 0.1832 0.1798 0.8166
Al 0.0034 0.6368 0.8202
Pt 0.2706 0.0000 0.0000
! * energy of formation: -0.0784 eV/atom
! * total magnetization: 0.0 μB/cell
! * symmetry: No. 160

***

# 3
! NdRe2, relaxed, DFT PBE; values from VASP
&SYSTEM
  ibrav = 0, nat = 12, ntyp = 2
/
ATOMIC_SPECIES
Nd 144.24 Nd.upf
Re 186.21 Re.upf
CELL_PARAMETERS angstrom
2.7638 -4.7870 0.0000
2.7638 4.7870 0.0000
0.0000 0.0000 8.9954
ATOMIC_POSITIONS crystal
Nd 0.3333 0.6667 0.4378
Nd 0.6667 0.3333 0.5622
Nd 0.6667 0.3333 0.9378
Nd 0.3333 0.6667 0.0622
Re 0.0000 0.0000 0.5000
Re 0.0000 0.0000 0.0000
Re 0.8296 0.1704 0.2500
Re 0.8296 0.6593 0.2500
Re 0.3407 0.1704 0.2500
Re 0.1704 0.8296 0.7500
Re 0.1704 0.3407 0.7500
Re 0.6593 0.8296 0.7500
! * energy of formation: 0.0119 eV/atom
! * symmetry: No. 194

***

# 4
! Na2BN, relaxed, DFT PBE; values from VASP
&SYSTEM
  ibrav = 0, nat = 16, ntyp = 3
/
ATOMIC_SPECIES
Na 22.99 Na.upf
B 10.81 B.upf
N 14.01 N.upf
CELL_PARAMETERS angstrom
0.0000 -9.5808 0.0000
-5.8067 0.0000 0.0000
0.0000 0.0000 -5.2714
ATOMIC_POSITIONS crystal
Na 0.7500 0.5420 0.5000
Na 0.2500 0.4580 0.0000
Na 0.2500 0.4580 0.5000
Na 0.7500 0.5420 0.0000
Na 0.4858 0.8105 0.2500
Na 0.5142 0.1895 0.7500
Na 0.0142 0.8105 0.7500
Na 0.9858 0.1895 0.2500
B 0.7500 0.0308 0.5000
B 0.2500 0.9692 0.0000
B 0.2500 0.9692 0.5000
B 0.7500 0.0308 0.0000
N 0.7503 0.9334 0.2500
N 0.2497 0.0666 0.7500
N 0.7497 0.9334 0.7500
N 0.2503 0.0666 0.2500
! * energy of formation: -0.1520 eV/atom
! * total magnetization: 0.0 μB/cell
! * symmetry: No. 57

***

# 5
! KCO3, relaxed, DFT PBE; values from VASP
&SYSTEM
  ibrav = 0, nat = 20, ntyp = 3
/
ATOMIC_SPECIES
K 39.10 K.upf
C 12.01 C.upf
O 16.00 O.upf
CELL_PARAMETERS angstrom
10.3193 0.0000 0.0000
0.0000 4.4937 0.0000
0.0000 3.4460 6.9718
ATOMIC_POSITIONS crystal
K 0.8145 0.5721 0.0853
K 0.1855 0.4279 0.9147
K 0.3145 0.4279 0.4147
K 0.6855 0.5721 0.5853
C 0.5485 0.1742 0.2123
C 0.4515 0.8258 0.7877
C 0.0485 0.8258 0.2877
C 0.9515 0.1742 0.7123
O 0.5817 0.2902 0.3303
O 0.4183 0.7098 0.6697
O 0.0817 0.7098 0.1697
O 0.9183 0.2902 0.8303
O 0.4288 0.1461 0.1789
O 0.5712 0.8539 0.8211
O 0.9288 0.8539 0.3211
O 0.0712 0.1461 0.6789
O 0.6381 0.0795 0.1329
O 0.3619 0.9205 0.8671
O 0.1381 0.9205 0.3671
O 0.8619 0.0795 0.6329
! * energy of formation: -1.8033 eV/atom
! * total magnetization: 4.0 μB/cell
! * symmetry: No. 14

***

# 6
! LiSnP4O12, relaxed, DFT PBE; values from VASP
&SYSTEM
  ibrav = 0, nat = 36, ntyp = 4
/
ATOMIC_SPECIES
Li 6.94 Li.upf
Sn 118.71 Sn.upf
P 30.97 P.upf
O 16.00 O.upf
CELL_PARAMETERS angstrom
6.0592 8.7370 0.0000
-6.0592 8.7370 0.0000
0.0000 1.1268 5.3715
ATOMIC_POSITIONS crystal
Li 0.4359 0.4359 0.6140
Li 0.5641 0.5641 0.3860
Sn 0.5000 0.0000 0.0000
Sn 0.0000 0.5000 0.0000
P 0.3718 0.7755 0.8257
P 0.7755 0.3718 0.8257
P 0.9392 0.7037 0.4508
P 0.7037 0.9392 0.4508
P 0.0608 0.2963 0.5492
P 0.2963 0.0608 0.5492
P 0.2245 0.6282 0.1743
P 0.6282 0.2245 0.1743
O 0.2360 0.7640 0.0000
O 0.7640 0.2360 0.0000
O 0.6788 0.9199 0.7308
O 0.9199 0.6788 0.7308
O 0.1910 0.5447 0.0108
O 0.5447 0.1910 0.0108
O 0.4355 0.6598 0.6773
O 0.6598 0.4355 0.6773
O 0.3013 0.9094 0.6416
O 0.9094 0.3013 0.6416
O 0.8615 0.8615 0.3644
O 0.3838 0.1060 0.6834
O 0.1060 0.3838 0.6834
O 0.6162 0.8940 0.3166
O 0.8940 0.6162 0.3166
O 0.1385 0.1385 0.6356
O 0.6987 0.0906 0.3584
O 0.0906 0.6987 0.3584
O 0.3402 0.5645 0.3227
O 0.5645 0.3402 0.3227
O 0.4553 0.8090 0.9892
O 0.8090 0.4553 0.9892
O 0.0801 0.3212 0.2692
O 0.3212 0.0801 0.2692
! * energy of formation: -2.4649 eV/atom
! * total magnetization: 0.0 μB/cell
! * symmetry: No. 12

***

# 7
! Rb3BiO3, relaxed, DFT PBE; values from VASP
&SYSTEM
  ibrav = 0, nat = 28, ntyp = 3
/
ATOMIC_SPECIES
Rb 85.47 Rb.upf
Bi 208.98 Bi.upf
O 16.00 O.upf
CELL_PARAMETERS angstrom
-3.3375 7.6949 -3.1836
-8.0265 -2.0588 3.4384
2.2186 4.1275 7.6504
ATOMIC_POSITIONS crystal
Rb 0.2844 0.2844 0.2844
Rb 0.2156 0.7156 0.7844
Rb 0.7844 0.2156 0.7156
Rb 0.7156 0.7844 0.2156
Rb 0.7102 0.2102 0.2898
Rb 0.7898 0.7898 0.7898
Rb 0.9789 0.5211 0.4789
Rb 0.5211 0.4789 0.9789
Rb 0.4789 0.9789 0.5211
Rb 0.0211 0.0211 0.0211
Rb 0.2102 0.2898 0.7102
Rb 0.2898 0.7102 0.2102
Bi 0.4862 0.0138 0.9862
Bi 0.0138 0.9862 0.4862
Bi 0.9862 0.4862 0.0138
Bi 0.5138 0.5138 0.5138
O 0.4389 0.0035 0.2151
O 0.9389 0.4965 0.7849
O 0.5611 0.5035 0.2849
O 0.4965 0.7849 0.9389
O 0.0035 0.2151 0.4389
O 0.2151 0.4389 0.0035
O 0.5035 0.2849 0.5611
O 0.9965 0.7151 0.0611
O 0.7151 0.0611 0.9965
O 0.0611 0.9965 0.7151
O 0.2849 0.5611 0.5035
O 0.7849 0.9389 0.4965
! * energy of formation: -1.6212 eV/atom
! * symmetry: No. 198

***

# 8
! MgTi2O4, relaxed, DFT PBE; values from VASP
&SYSTEM
  ibrav = 0, nat = 42, ntyp = 3
/
ATOMIC_SPECIES
Mg 24.30 Mg.upf
Ti 47.87 Ti.upf
O 16.00 O.upf
CELL_PARAMETERS angstrom
3.0056 -5.2058 0.0000
3.0056 5.2058 0.0000
0.0000 0.0000 14.9310
ATOMIC_POSITIONS crystal
Mg 0.0000 0.0000 0.0452
Mg 0.3333 0.6667 0.3714
Mg 0.3333 0.6667 0.0034
Mg 0.6667 0.3333 0.7049
Mg 0.0000 0.0000 0.2921
Mg 0.3333 0.6667 0.6258
Ti 0.9901 0.4951 0.1668
Ti 0.5049 0.0099 0.1668
Ti 0.3341 0.1670 0.4998
Ti 0.5049 0.4951 0.1668
Ti 0.6667 0.3333 0.3404
Ti 0.8330 0.6659 0.4998
Ti 0.6765 0.8383 0.8306
Ti 0.8330 0.1670 0.4998
Ti 0.1617 0.8383 0.8306
Ti 0.0000 0.0000 0.6655
Ti 0.1617 0.3235 0.8306
Ti 0.6667 0.3333 0.9530
O 0.1784 0.3568 0.0914
O 0.3333 0.6667 0.2395
O 0.1784 0.8216 0.0914
O 0.6432 0.8216 0.0914
O 0.3596 0.1798 0.2496
O 0.5087 0.0173 0.4196
O 0.8202 0.1798 0.2496
O 0.6667 0.3333 0.0808
O 0.5087 0.4913 0.4196
O 0.6667 0.3333 0.5737
O 0.8202 0.6404 0.2496
O 0.9827 0.4913 0.4196
O 0.6892 0.8446 0.5806
O 0.8420 0.6841 0.7511
O 0.1554 0.8446 0.5806
O 0.0000 0.0000 0.4251
O 0.0000 0.0000 0.9108
O 0.8420 0.1580 0.7511
O 0.1554 0.3108 0.5806
O 0.3159 0.1580 0.7511
O 0.0137 0.5068 0.9136
O 0.3333 0.6667 0.7587
O 0.4932 0.5068 0.9136
O 0.4932 0.9863 0.9136
! * energy of formation: -3.2091 eV/atom
! * total magnetization: 9.1 μB/cell
! * symmetry: No. 156

***

# 9
! Mg2AlMo3S8, relaxed, DFT PBE; values from VASP
&SYSTEM
  ibrav = 0, nat = 14, ntyp = 4
/
ATOMIC_SPECIES
Mg 24.30 Mg.upf
Al 26.98 Al.upf
Mo 95.94 Mo.upf
S 32.06 S.upf
CELL_PARAMETERS angstrom
-3.1430 0.1666 6.6652
3.6447 2.9964 5.6630
-2.2710 6.4346 2.7878
ATOMIC_POSITIONS crystal
Mg 0.8760 0.8760 0.8760
Mg 0.1240 0.1240 0.1240
Al 0.5000 0.5000 0.5000
Mo 0.5000 0.5000 0.0000
Mo 0.0000 0.5000 0.5000
Mo 0.5000 0.0000 0.5000
S 0.7392 0.7392 0.7393
S 0.2657 0.2657 0.7147
S 0.2657 0.7147 0.2657
S 0.7147 0.2657 0.2657
S 0.7343 0.2853 0.7343
S 0.2853 0.7343 0.7343
S 0.2607 0.2608 0.2607
S 0.7343 0.7343 0.2853
! * energy of formation: -1.0202 eV/atom
! * total magnetization: 9.0 μB/cell
! * symmetry: No. 166

***

# 10
! SiO2, relaxed, DFT PBE; values from VASP
&SYSTEM
  ibrav = 0, nat = 96, ntyp = 2
/
ATOMIC_SPECIES
Si 28.09 Si.upf
O 16.00 O.upf
CELL_PARAMETERS angstrom
22.2849 0.0000 0.0000
0.0000 7.5008 0.0000
0.0000 0.9801 11.6110
ATOMIC_POSITIONS crystal
Si 0.8174 0.2571 0.0376
Si 0.6300 0.8982 0.1355
Si 0.9299 0.4036 0.3927
Si 0.5417 0.7621 0.9491
Si 0.6803 0.5197 0.2392
Si 0.9782 0.0626 0.2697
Si 0.1826 0.7429 0.9624
Si 0.8197 0.5197 0.2392
Si 0.9303 0.3640 0.8902
Si 0.1803 0.4803 0.7608
Si 0.4299 0.5964 0.6073
Si 0.5697 0.3640 0.8902
Si 0.0417 0.2379 0.0509
Si 0.3197 0.4803 0.7608
Si 0.5218 0.0626 0.2697
Si 0.3700 0.1018 0.8645
Si 0.9583 0.7621 0.9491
Si 0.5701 0.4036 0.3927
Si 0.8700 0.8982 0.1355
Si 0.3174 0.7429 0.9624
Si 0.5291 0.2915 0.6384
Si 0.0218 0.9374 0.7303
Si 0.0291 0.7085 0.3616
Si 0.0697 0.6360 0.1098
Si 0.1300 0.1018 0.8645
Si 0.4782 0.9374 0.7303
Si 0.4709 0.7085 0.3616
Si 0.0701 0.5964 0.6073
Si 0.6826 0.2571 0.0376
Si 0.4303 0.6360 0.1098
Si 0.4583 0.2379 0.0509
Si 0.9709 0.2915 0.6384
O 0.9351 0.5768 0.9026
O 0.7500 0.5054 0.2807
O 0.6683 0.3999 0.1315
O 0.9042 0.8466 0.0197
O 0.9683 0.5875 0.3703
O 0.3652 0.7115 0.0667
O 0.9167 0.9737 0.2265
O 0.0240 0.1028 0.1618
O 0.4358 0.6749 0.2437
O 0.0317 0.4125 0.6297
O 0.4042 0.1534 0.9803
O 0.1683 0.6001 0.8685
O 0.6645 0.7268 0.1987
O 0.5833 0.9737 0.2265
O 0.5317 0.5875 0.3703
O 0.5958 0.8466 0.0197
O 0.8317 0.3999 0.1315
O 0.0833 0.0263 0.7735
O 0.1645 0.2732 0.8013
O 0.3355 0.2732 0.8013
O 0.0374 0.7532 0.6730
O 0.2500 0.7114 0.0140
O 0.5649 0.5768 0.9026
O 0.4167 0.0263 0.7735
O 0.8214 0.0536 0.0979
O 0.5165 0.2652 0.9671
O 0.6380 0.4424 0.3460
O 0.0106 0.9192 0.3626
O 0.9760 0.8972 0.8382
O 0.4834 0.7348 0.0329
O 0.4351 0.4232 0.0974
O 0.1348 0.7115 0.0667
O 0.3620 0.5576 0.6540
O 0.5735 0.3442 0.5300
O 0.5642 0.3251 0.7563
O 0.4894 0.9192 0.3626
O 0.9626 0.2468 0.3270
O 0.6348 0.2885 0.9333
O 0.1786 0.9464 0.9021
O 0.9894 0.0808 0.6374
O 0.5106 0.0808 0.6374
O 0.3214 0.9464 0.9021
O 0.4626 0.7532 0.6730
O 0.8652 0.2885 0.9333
O 0.5374 0.2468 0.3270
O 0.2500 0.4946 0.7193
O 0.8355 0.7268 0.1987
O 0.4683 0.4125 0.6297
O 0.0166 0.7348 0.0329
O 0.0735 0.6558 0.4700
O 0.0958 0.1534 0.9803
O 0.7500 0.2886 0.9860
O 0.9358 0.3251 0.7563
O 0.9265 0.3442 0.5300
O 0.0649 0.4232 0.0974
O 0.4265 0.6558 0.4700
O 0.4760 0.1028 0.1618
O 0.5240 0.8972 0.8382
O 0.1380 0.5576 0.6540
O 0.8620 0.4424 0.3460
O 0.9834 0.2652 0.9671
O 0.3317 0.6001 0.8685
O 0.6786 0.0536 0.0979
O 0.0642 0.6749 0.2437
! * energy of formation: -3.2513 eV/atom
! * total magnetization: 0.0 μB/cell
! * symmetry: No. 11

***

- Number 9 is which compound?
  Mg2AlMo3S8

***

- The highest energy of formation belongs to which entry?
  NdRe2